{"formula": "Mn2Cr3O12", "functional": "PBE+U", "state": "relaxed", "lattice_angstrom": [[8.753, 0.000, 0.000], [0.000, 9.086, 0.000], [-8.272, 0.000, 12.453]], "species": ["Mn", "Mn", "Mn", "Mn", "Mn", "Mn", "Mn", "Mn", "Cr", "Cr", "Cr", "Cr", "Cr", "Cr", "Cr", "Cr", "Cr", "Cr", "Cr", "Cr", "O", "O", "O", "O", "O", "O", "O", "O", "O", "O", "O", "O", "O", "O", "O", "O", "O", "O", "O", "O", "O", "O", "O", "O", "O", "O", "O", "O", "O", "O", "O", "O", "O", "O", "O", "O", "O", "O", "O", "O", "O", "O", "O", "O", "O", "O", "O", "O"], "fractional_positions": [[0.130, 0.032, 0.382], [0.130, 0.468, 0.882], [0.368, 0.030, 0.115], [0.368, 0.470, 0.615], [0.632, 0.530, 0.385], [0.632, 0.970, 0.885], [0.870, 0.532, 0.118], [0.870, 0.968, 0.618], [0.032, 0.614, 0.647], [0.032, 0.886, 0.147], [0.258, 0.124, 0.645], [0.258, 0.376, 0.145], [0.447, 0.750, 0.490], [0.447, 0.750, 0.990], [0.553, 0.250, 0.010], [0.553, 0.250, 0.510], [0.742, 0.624, 0.855], [0.742, 0.876, 0.355], [0.968, 0.114, 0.853], [0.968, 0.386, 0.353], [0.018, 0.715, 0.182], [0.018, 0.785, 0.682], [0.119, 0.001, 0.252], [0.119, 0.499, 0.752], [0.125, 0.076, 0.685], [0.125, 0.424, 0.185], [0.152, 0.078, 0.515], [0.152, 0.422, 0.015], [0.170, 0.606, 0.602], [0.170, 0.894, 0.102], [0.176, 0.061, 0.948], [0.176, 0.439, 0.448], [0.245, 0.664, 0.934], [0.245, 0.836, 0.434], [0.283, 0.190, 0.159], [0.283, 0.310, 0.659], [0.388, 0.129, 0.448], [0.388, 0.371, 0.948], [0.456, 0.039, 0.719], [0.456, 0.461, 0.219], [0.460, 0.666, 0.394], [0.460, 0.834, 0.894], [0.474, 0.631, 0.584], [0.474, 0.869, 0.084], [0.526, 0.131, 0.916], [0.526, 0.369, 0.416], [0.540, 0.166, 0.106], [0.540, 0.334, 0.606], [0.544, 0.539, 0.781], [0.544, 0.961, 0.281], [0.612, 0.629, 0.052], [0.612, 0.871, 0.552], [0.717, 0.690, 0.341], [0.717, 0.810, 0.841], [0.755, 0.164, 0.566], [0.755, 0.336, 0.066], [0.824, 0.561, 0.552], [0.824, 0.939, 0.052], [0.830, 0.106, 0.898], [0.830, 0.394, 0.398], [0.848, 0.578, 0.985], [0.848, 0.922, 0.485], [0.875, 0.576, 0.815], [0.875, 0.924, 0.315], [0.881, 0.501, 0.248], [0.881, 0.999, 0.748], [0.982, 0.215, 0.318], [0.982, 0.285, 0.818]], "final_energy_ev_per_atom": -6.949, "m_tot_mub_per_fu": 8.0, "sg": "P2_1/c", "formation_enthalpy_0k_ev_per_atom": -1.7094, "e_above_lowest_polymorph_ev_per_fu": 0.00}

{"formula": "LiTiNiF6", "functional": "PBE+U", "state": "relaxed", "lattice_angstrom": [[8.762, 0.000, 0.000], [-4.381, 7.588, 0.000], [0.000, 0.000, 4.626]], "species": ["Li", "Li", "Li", "Ti", "Ti", "Ti", "Ni", "Ni", "Ni", "F", "F", "F", "F", "F", "F", "F", "F", "F", "F", "F", "F", "F", "F", "F", "F", "F", "F"], "fractional_positions": [[0.000, 0.690, 0.000], [0.310, 0.310, 0.000], [0.690, 0.000, 0.000], [0.000, 0.351, 0.500], [0.351, 0.000, 0.500], [0.649, 0.649, 0.500], [0.000, 0.000, 0.500], [0.333, 0.667, 0.991], [0.667, 0.333, 0.009], [0.104, 0.227, 0.729], [0.110, 0.567, 0.757], [0.123, 0.896, 0.729], [0.205, 0.446, 0.240], [0.227, 0.104, 0.271], [0.241, 0.795, 0.240], [0.433, 0.543, 0.757], [0.446, 0.205, 0.760], [0.457, 0.890, 0.757], [0.543, 0.433, 0.243], [0.554, 0.759, 0.240], [0.567, 0.110, 0.243], [0.759, 0.554, 0.760], [0.773, 0.877, 0.729], [0.795, 0.241, 0.760], [0.877, 0.773, 0.271], [0.890, 0.457, 0.243], [0.896, 0.123, 0.271]], "final_energy_ev_per_atom": -5.496, "m_tot_mub_per_fu": 1.0, "sg": "P321", "formation_enthalpy_0k_ev_per_atom": -3.0780}

{"formula": "CrPb6Cl6O8", "functional": "PBE+U", "state": "relaxed", "lattice_angstrom": [[6.750, 3.897, 2.902], [-6.750, 3.897, 2.902], [0.000, -7.795, 2.902]], "species": ["Cr", "Pb", "Pb", "Pb", "Pb", "Pb", "Pb", "Cl", "Cl", "Cl", "Cl", "Cl", "Cl", "O", "O", "O", "O", "O", "O", "O", "O"], "fractional_positions": [[0.000, 0.000, 0.000], [0.041, 0.393, 0.279], [0.279, 0.041, 0.393], [0.393, 0.279, 0.041], [0.607, 0.721, 0.959], [0.721, 0.959, 0.607], [0.959, 0.607, 0.721], [0.220, 0.336, 0.707], [0.293, 0.780, 0.664], [0.336, 0.707, 0.220], [0.664, 0.293, 0.780], [0.707, 0.220, 0.336], [0.780, 0.664, 0.293], [0.027, 0.097, 0.246], [0.097, 0.246, 0.027], [0.246, 0.027, 0.097], [0.427, 0.427, 0.427], [0.573, 0.573, 0.573], [0.754, 0.973, 0.903], [0.903, 0.754, 0.973], [0.973, 0.903, 0.754]], "final_energy_ev_per_atom": -4.742, "m_tot_mub_per_fu": 2.0, "sg": "R-3", "formation_enthalpy_0k_ev_per_atom": -0.9647}

{"formula": "MgV2Cr2O8", "functional": "PBE+U", "state": "relaxed", "lattice_angstrom": [[5.089, -2.989, 0.000], [5.089, 2.989, 0.000], [-3.176, 0.000, 4.844]], "species": ["Mg", "V", "V", "Cr", "Cr", "O", "O", "O", "O", "O", "O", "O", "O"], "fractional_positions": [[0.000, 0.000, 0.000], [0.382, 0.382, 0.125], [0.618, 0.618, 0.875], [0.000, 0.500, 0.500], [0.500, 0.000, 0.500], [0.245, 0.245, 0.257], [0.250, 0.723, 0.747], [0.255, 0.255, 0.744], [0.277, 0.750, 0.253], [0.723, 0.250, 0.747], [0.745, 0.745, 0.256], [0.750, 0.277, 0.253], [0.755, 0.755, 0.743]], "final_energy_ev_per_atom": -7.462, "m_tot_mub_per_fu": 8.0, "sg": "C2/m", "formation_enthalpy_0k_ev_per_atom": -2.4035, "e_above_lowest_polymorph_ev_per_fu": 0.00}